MgGe2WO6: optimized geometry, PBE with a Hubbard U.

a = 14.182 Å, b = 8.918 Å, c = 5.033 Å
α = 90.00°, β = 97.93°, γ = 90.00°
Space group C2/c (No. 15)
Inequivalent atoms, fractional coordinates:
Mg: 0.000 0.154 0.250 x4
Ge: 0.173 0.105 0.791 x8
W: 0.000 0.399 0.750 x4
O: 0.074 0.250 0.607 x8
O: 0.076 0.432 0.091 x8
O: 0.106 0.057 0.085 x8

Summary:
**Formation enthalpy at 0 K**: -2.05 eV/atom
**Relative energy among the computed polymorphs**: 0.32 eV/f.u.
**Crystal system**: monoclinic



MgV4O8: optimized geometry, PBE with a Hubbard U.

a = 2.990 Å, b = 7.737 Å, c = 7.943 Å
α = 86.44°, β = 79.49°, γ = 82.76°
Space group P1 (No. 1)
Inequivalent atoms, fractional coordinates:
Mg: 0.000 0.000 0.000 x1
V: 0.093 0.663 0.034 x1
V: 0.304 0.990 0.345 x1
V: 0.621 0.994 0.674 x1
V: 0.749 0.338 0.953 x1
O: 0.010 0.137 0.780 x1
O: 0.219 0.871 0.561 x1
O: 0.255 0.456 0.860 x1
O: 0.404 0.173 0.081 x1
O: 0.587 0.831 0.917 x1
O: 0.600 0.522 0.118 x1
O: 0.704 0.117 0.425 x1
O: 0.951 0.865 0.223 x1

Summary:
**Formation enthalpy at 0 K**: -2.41 eV/atom
**Relative energy among the computed polymorphs**: 1.69 eV/f.u.
**Crystal system**: triclinic



MgFe6O6F6: optimized geometry, PBE with a Hubbard U.

a = 5.231 Å, b = 5.311 Å, c = 8.814 Å
α = 90.08°, β = 93.62°, γ = 94.88°
Space group P1 (No. 1)
Inequivalent atoms, fractional coordinates:
Mg: 0.000 0.000 0.000 x1
Fe: 0.089 0.346 0.535 x1
Fe: 0.420 0.862 0.369 x1
Fe: 0.441 0.862 0.703 x1
Fe: 0.524 0.968 0.045 x1
Fe: 0.880 0.499 0.214 x1
Fe: 0.888 0.495 0.843 x1
O: 0.164 0.577 0.365 x1
O: 0.186 0.581 0.703 x1
O: 0.302 0.069 0.532 x1
O: 0.656 0.763 0.219 x1
O: 0.696 0.813 0.868 x1
O: 0.792 0.283 0.037 x1
F: 0.127 0.674 0.047 x1
F: 0.257 0.081 0.197 x1
F: 0.271 0.082 0.863 x1
F: 0.635 0.724 0.539 x1
F: 0.783 0.245 0.369 x1
F: 0.810 0.226 0.672 x1

Summary:
**Formation enthalpy at 0 K**: -2.09 eV/atom
**Relative energy among the computed polymorphs**: 1.01 eV/f.u.
**Crystal system**: triclinic



CoH5CNCl2O2: optimized geometry, PBE with a Hubbard U.

a = 6.840 Å, b = 6.989 Å, c = 13.380 Å
α = 80.18°, β = 76.27°, γ = 81.41°
Space group P-1 (No. 2)
Inequivalent atoms, fractional coordinates:
Co: 0.000 0.000 0.000 x1
Co: 0.000 0.500 0.500 x1
Co: 0.500 0.000 0.000 x1
Co: 0.500 0.500 0.500 x1
H: 0.122 0.097 0.641 x2
H: 0.122 0.597 0.141 x2
H: 0.229 0.486 0.242 x2
H: 0.230 0.986 0.742 x2
H: 0.250 0.486 0.838 x2
H: 0.250 0.986 0.338 x2
H: 0.270 0.879 0.636 x2
H: 0.271 0.380 0.136 x2
H: 0.378 0.088 0.631 x2
H: 0.378 0.588 0.131 x2
C: 0.249 0.341 0.886 x2
C: 0.250 0.841 0.386 x2
N: 0.250 0.013 0.662 x2
N: 0.250 0.513 0.162 x2
Cl: 0.181 0.551 0.631 x2
Cl: 0.182 0.049 0.131 x2
Cl: 0.319 0.330 0.409 x2
Cl: 0.320 0.830 0.909 x2
O: 0.084 0.264 0.907 x2
O: 0.085 0.764 0.408 x2
O: 0.413 0.269 0.914 x2
O: 0.415 0.770 0.414 x2

Summary:
**Formation enthalpy at 0 K**: -0.88 eV/atom
**Crystal system**: triclinic



Li8Mn3Fe5B8O24: optimized geometry, PBE with a Hubbard U.

a = 5.229 Å, b = 5.245 Å, c = 20.803 Å
α = 88.33°, β = 89.39°, γ = 60.26°
Space group P1 (No. 1)
Inequivalent atoms, fractional coordinates:
Li: 0.000 0.000 0.000 x1
Li: 0.000 0.006 0.499 x1
Li: 0.010 0.317 0.375 x1
Li: 0.013 0.315 0.874 x1
Li: 0.969 0.334 0.624 x1
Li: 0.970 0.010 0.251 x1
Li: 0.970 0.337 0.124 x1
Li: 0.975 0.007 0.749 x1
Mn: 0.323 0.336 0.017 x1
Mn: 0.661 0.988 0.391 x1
Mn: 0.666 0.985 0.890 x1
Fe: 0.306 0.666 0.642 x1
Fe: 0.306 0.670 0.143 x1
Fe: 0.335 0.337 0.518 x1
Fe: 0.655 0.658 0.266 x1
Fe: 0.661 0.660 0.765 x1
B: 0.317 0.333 0.269 x1
B: 0.322 0.331 0.768 x1
B: 0.329 0.659 0.395 x1
B: 0.332 0.658 0.894 x1
B: 0.649 0.994 0.644 x1
B: 0.650 0.670 0.021 x1
B: 0.652 0.999 0.146 x1
B: 0.653 0.670 0.521 x1
O: 0.062 0.316 0.276 x1
O: 0.067 0.313 0.775 x1
O: 0.083 0.935 0.402 x1
O: 0.087 0.934 0.901 x1
O: 0.302 0.598 0.250 x1
O: 0.306 0.595 0.749 x1
O: 0.308 0.410 0.411 x1
O: 0.311 0.409 0.910 x1
O: 0.374 0.703 0.037 x1
O: 0.377 0.695 0.536 x1
O: 0.384 0.240 0.626 x1
O: 0.388 0.244 0.127 x1
O: 0.588 0.083 0.283 x1
O: 0.593 0.083 0.782 x1
O: 0.596 0.630 0.374 x1
O: 0.599 0.629 0.873 x1
O: 0.662 0.921 0.501 x1
O: 0.665 0.725 0.659 x1
O: 0.669 0.729 0.159 x1
O: 0.671 0.912 0.999 x1
O: 0.899 0.395 0.028 x1
O: 0.903 0.016 0.650 x1
O: 0.905 0.022 0.152 x1
O: 0.906 0.401 0.527 x1

Summary:
**Formation enthalpy at 0 K**: -2.40 eV/atom
**Relative energy among the computed polymorphs**: 0.00 eV/f.u.
**Crystal system**: triclinic



Na2LiMnPCO7: optimized geometry, PBE with a Hubbard U.

a = 6.849 Å, b = 8.848 Å, c = 10.231 Å
α = 90.73°, β = 90.14°, γ = 90.34°
Space group P1 (No. 1)
Inequivalent atoms, fractional coordinates:
Na: 0.000 0.000 0.000 x1
Na: 0.000 0.000 0.497 x1
Na: 0.001 0.513 0.250 x1
Na: 0.247 0.174 0.753 x1
Na: 0.500 0.000 0.496 x1
Na: 0.500 0.514 0.250 x1
Na: 0.501 0.000 0.999 x1
Na: 0.502 0.513 0.749 x1
Li: 0.250 0.173 0.251 x1
Li: 0.754 0.348 0.998 x1
Li: 0.757 0.346 0.499 x1
Li: 0.981 0.528 0.757 x1
Mn: 0.247 0.615 0.984 x1
Mn: 0.248 0.614 0.487 x1
Mn: 0.749 0.895 0.760 x1
Mn: 0.751 0.896 0.262 x1
P: 0.245 0.843 0.725 x1
P: 0.251 0.852 0.226 x1
P: 0.749 0.662 0.019 x1
P: 0.754 0.659 0.522 x1
C: 0.249 0.310 0.502 x1
C: 0.250 0.315 0.012 x1
C: 0.750 0.205 0.240 x1
C: 0.759 0.211 0.742 x1
O: 0.066 0.940 0.767 x1
O: 0.070 0.949 0.265 x1
O: 0.233 0.680 0.782 x1
O: 0.247 0.405 0.602 x1
O: 0.247 0.407 0.113 x1
O: 0.248 0.828 0.573 x1
O: 0.249 0.827 0.075 x1
O: 0.250 0.361 0.383 x1
O: 0.250 0.373 0.895 x1
O: 0.251 0.171 0.030 x1
O: 0.251 0.694 0.290 x1
O: 0.252 0.167 0.523 x1
O: 0.431 0.930 0.770 x1
O: 0.433 0.949 0.265 x1
O: 0.566 0.566 0.980 x1
O: 0.569 0.564 0.486 x1
O: 0.749 0.110 0.647 x1
O: 0.749 0.346 0.209 x1
O: 0.750 0.820 0.461 x1
O: 0.750 0.821 0.958 x1
O: 0.751 0.103 0.146 x1
O: 0.751 0.163 0.362 x1
O: 0.751 0.167 0.863 x1
O: 0.754 0.685 0.171 x1
O: 0.766 0.679 0.675 x1
O: 0.775 0.352 0.713 x1
O: 0.927 0.565 0.974 x1
O: 0.931 0.564 0.476 x1

Summary:
**Formation enthalpy at 0 K**: -2.37 eV/atom
**Relative energy among the computed polymorphs**: 0.10 eV/f.u.
**Crystal system**: triclinic



Question: formation enthalpy at 0 K of number 4 (CoH5CNCl2O2)?
Answer: -0.88 eV/atom



Repeat the sixth record exactly.
Na2LiMnPCO7: optimized geometry, PBE with a Hubbard U.

a = 6.849 Å, b = 8.848 Å, c = 10.231 Å
α = 90.73°, β = 90.14°, γ = 90.34°
Space group P1 (No. 1)
Inequivalent atoms, fractional coordinates:
Na: 0.000 0.000 0.000 x1
Na: 0.000 0.000 0.497 x1
Na: 0.001 0.513 0.250 x1
Na: 0.247 0.174 0.753 x1
Na: 0.500 0.000 0.496 x1
Na: 0.500 0.514 0.250 x1
Na: 0.501 0.000 0.999 x1
Na: 0.502 0.513 0.749 x1
Li: 0.250 0.173 0.251 x1
Li: 0.754 0.348 0.998 x1
Li: 0.757 0.346 0.499 x1
Li: 0.981 0.528 0.757 x1
Mn: 0.247 0.615 0.984 x1
Mn: 0.248 0.614 0.487 x1
Mn: 0.749 0.895 0.760 x1
Mn: 0.751 0.896 0.262 x1
P: 0.245 0.843 0.725 x1
P: 0.251 0.852 0.226 x1
P: 0.749 0.662 0.019 x1
P: 0.754 0.659 0.522 x1
C: 0.249 0.310 0.502 x1
C: 0.250 0.315 0.012 x1
C: 0.750 0.205 0.240 x1
C: 0.759 0.211 0.742 x1
O: 0.066 0.940 0.767 x1
O: 0.070 0.949 0.265 x1
O: 0.233 0.680 0.782 x1
O: 0.247 0.405 0.602 x1
O: 0.247 0.407 0.113 x1
O: 0.248 0.828 0.573 x1
O: 0.249 0.827 0.075 x1
O: 0.250 0.361 0.383 x1
O: 0.250 0.373 0.895 x1
O: 0.251 0.171 0.030 x1
O: 0.251 0.694 0.290 x1
O: 0.252 0.167 0.523 x1
O: 0.431 0.930 0.770 x1
O: 0.433 0.949 0.265 x1
O: 0.566 0.566 0.980 x1
O: 0.569 0.564 0.486 x1
O: 0.749 0.110 0.647 x1
O: 0.749 0.346 0.209 x1
O: 0.750 0.820 0.461 x1
O: 0.750 0.821 0.958 x1
O: 0.751 0.103 0.146 x1
O: 0.751 0.163 0.362 x1
O: 0.751 0.167 0.863 x1
O: 0.754 0.685 0.171 x1
O: 0.766 0.679 0.675 x1
O: 0.775 0.352 0.713 x1
O: 0.927 0.565 0.974 x1
O: 0.931 0.564 0.476 x1

Summary:
**Formation enthalpy at 0 K**: -2.37 eV/atom
**Relative energy among the computed polymorphs**: 0.10 eV/f.u.
**Crystal system**: triclinic



Please write out number 1 again, unchanged.
MgGe2WO6: optimized geometry, PBE with a Hubbard U.

a = 14.182 Å, b = 8.918 Å, c = 5.033 Å
α = 90.00°, β = 97.93°, γ = 90.00°
Space group C2/c (No. 15)
Inequivalent atoms, fractional coordinates:
Mg: 0.000 0.154 0.250 x4
Ge: 0.173 0.105 0.791 x8
W: 0.000 0.399 0.750 x4
O: 0.074 0.250 0.607 x8
O: 0.076 0.432 0.091 x8
O: 0.106 0.057 0.085 x8

Summary:
**Formation enthalpy at 0 K**: -2.05 eV/atom
**Relative energy among the computed polymorphs**: 0.32 eV/f.u.
**Crystal system**: monoclinic